# 1
DFT (PBE) results for a relaxed K3NaSi3Ge2O12 crystal.

```
126
Lattice="9.074 0.000 0.000 -4.537 7.858 0.000 0.000 0.000 21.811" Properties=species:S:1:pos:R:3 pbc="T T T"
K 5.870 5.239 19.993
O 0.666 3.811 16.508
O 3.871 6.430 12.873
Na 4.537 2.619 7.270
Ge 4.537 2.619 4.028
O 5.440 1.328 16.208
O 7.504 0.137 1.967
O 6.107 2.756 20.143
Ge 0.000 0.000 18.569
Si 1.320 2.286 16.358
K 1.602 2.464 19.993
Ge 0.000 5.239 17.783
O 2.967 7.721 8.938
Si 2.639 5.239 19.993
O 1.570 0.137 12.873
O -1.570 5.102 1.668
O 3.633 6.567 19.844
K 3.204 0.000 16.358
O 3.633 1.328 5.303
O 3.871 1.191 20.143
K 6.139 0.155 19.993
O -0.904 6.530 5.602
Si 1.320 2.953 9.088
O -1.570 5.376 16.508
Si 3.217 5.572 5.453
O 3.483 6.569 4.162
O 5.203 1.191 9.237
O 3.947 6.300 6.743
Ge 0.000 5.239 11.298
O 0.590 6.796 7.798
O -0.666 6.667 12.573
K -1.333 2.619 1.818
O -1.054 3.949 18.703
K 1.333 2.619 12.723
Si -1.320 2.953 19.993
K 2.935 5.084 16.358
O -0.666 1.428 19.844
Ge 4.537 2.619 14.934
Ge 0.000 5.239 0.393
O -2.967 7.721 19.844
K 1.602 7.703 12.723
Ge 4.537 2.619 10.512
O -0.904 3.948 12.573
O 2.893 2.351 0.527
O 1.054 3.949 7.798
K 5.870 0.000 5.453
Si 6.434 0.000 16.358
O 2.893 7.590 15.068
O 0.666 1.428 8.938
Si 5.857 0.333 1.818
Na 4.537 2.619 18.176
O 5.203 4.047 16.208
O -0.666 3.811 5.602
O 6.180 2.351 11.433
Si 1.320 7.524 9.088
O 5.591 1.330 0.527
O 8.170 1.291 12.873
Ge 0.000 0.000 14.148
O 1.570 5.102 12.573
Si -2.639 5.239 9.088
K -2.935 5.084 5.453
O 5.126 4.177 0.527
K 2.935 0.155 9.088
K 2.935 5.394 1.818
Na 0.000 0.000 10.905
Si -3.217 5.572 16.358
O 0.590 1.557 15.068
O 7.430 0.268 17.648
O -3.483 6.569 15.068
O 1.570 5.376 5.602
Na 0.000 0.000 0.000
O 2.967 2.756 9.237
Si -1.320 7.524 19.993
O 5.591 3.909 3.108
O 5.126 1.062 3.108
O -0.590 6.796 18.703
O 3.633 3.910 20.143
Si 3.217 4.905 12.723
O -0.590 1.557 4.162
O 6.107 2.482 5.303
O 0.904 1.291 1.967
O 6.180 2.887 14.013
K -1.602 7.703 1.818
O 3.871 4.047 5.303
O 1.644 5.507 21.283
O -1.054 6.528 21.283
O 0.666 6.667 1.668
Si 3.217 0.333 12.723
O 0.904 6.530 16.508
Si 2.639 0.000 5.453
K 7.472 2.464 9.088
O 3.947 1.062 14.013
O 0.904 3.948 1.668
K -1.602 2.774 16.358
O 3.483 3.909 14.013
O 3.947 4.177 11.433
O 1.054 1.289 17.648
K 3.204 5.239 9.088
O -2.893 7.590 4.162
O 5.440 3.910 9.237
Si 7.176 2.619 12.723
O -0.590 3.681 21.283
O 5.203 6.430 1.967
O 5.126 6.300 17.648
Na 0.000 5.239 3.635
Na 0.000 5.239 14.541
Ge 4.537 2.619 21.418
O 0.590 3.681 10.378
O -1.644 4.971 7.798
Ge 0.000 0.000 7.663
Ge 0.000 0.000 3.242
O -3.633 6.567 8.938
Si 5.857 4.905 1.818
O 2.893 2.887 3.108
O 1.054 6.528 10.378
O -1.644 5.507 10.378
O 8.020 1.289 6.743
K -2.935 5.394 12.723
Ge 0.000 5.239 6.877
O 3.483 1.330 11.433
Si 1.897 2.619 1.818
O 1.644 4.971 18.703
O 1.644 0.268 6.743
O 2.967 2.482 16.208
Si -1.320 2.286 5.453
K 1.602 2.774 5.453
```

Calculated values
Volume ... 12.34 Å³ per atom
Calculated total energy ... -0.468 Ry per atom
ΔE_f ... -2494 meV/atom
Total magnetic moment ... 0.0 μB per formula unit

---

# 2
DFT (PBE) results for a relaxed MgTi2S4 crystal.

```
7
Lattice="-0.916 2.813 -1.732 2.854 0.010 1.899 6.743 -4.034 -10.114" Properties=species:S:1:pos:R:3 pbc="T T T"
S 1.184 1.374 -1.787
Ti 5.360 -1.124 -8.050
S 7.497 -2.585 -8.160
S 5.884 -1.620 -5.741
Ti 3.321 -0.087 -1.897
Mg 0.000 0.000 0.000
S 2.797 0.409 -4.206
```

Calculated values
Volume ... 18.62 Å³ per atom
Calculated total energy ... -0.448 Ry per atom
ΔE_f ... -1539 meV/atom
Total magnetic moment ... 1.5 μB per formula unit

---

# 3
DFT (PBE) results for a relaxed Te4MoW3Se2S2 crystal.

```
12
Lattice="-2.039 0.302 -2.701 0.928 -3.081 1.092 -32.896 -1.154 24.706" Properties=species:S:1:pos:R:3 pbc="T T T"
W -15.443 -2.492 11.380
S -2.937 -0.891 -0.019
Mo -10.305 -1.150 5.515
Se -10.635 -2.324 7.769
Se -8.000 -2.231 5.790
S -5.343 -0.976 1.788
Te -23.277 -2.767 17.264
Te -17.938 -1.417 11.247
W -22.763 -1.587 14.871
Te -20.266 -2.661 15.003
W -3.151 -2.061 2.148
Te -14.927 -1.312 8.986
```

Calculated values
Volume ... 34.28 Å³ per atom
Energy relative to the lowest polymorph listed for this composition ... 0.25 eV per formula unit
Calculated total energy ... -0.501 Ry per atom
ΔE_f ... -437 meV/atom
Total magnetic moment ... 0.0 μB per formula unit

---

# 4
DFT (PBE) results for a relaxed HoCd crystal.

```
2
Lattice="-1.767 1.984 2.625 0.049 -2.964 2.273 3.291 1.109 1.376" Properties=species:S:1:pos:R:3 pbc="T T T"
Cd 0.000 0.000 0.000
Ho 0.786 0.065 3.137
```

Calculated values
Volume ... 26.06 Å³ per atom
Calculated total energy ... -0.226 Ry per atom
ΔE_f ... -318 meV/atom

---

# 5
DFT (PBE) results for a relaxed UBi crystal.

```
2
Lattice="-3.561 -1.278 -0.596 -0.207 -1.129 3.654 -1.395 3.429 0.981" Properties=species:S:1:pos:R:3 pbc="T T T"
U 0.000 0.000 0.000
Bi -2.581 0.511 2.019
```

Calculated values
Volume ... 28.09 Å³ per atom
Calculated total energy ... -0.550 Ry per atom
ΔE_f ... 112 meV/atom
Total magnetic moment ... 3.0 μB per formula unit

---

# 6
DFT (PBE) results for a relaxed LiTa2S4 crystal.

```
7
Lattice="-3.013 0.771 1.272 0.529 -3.032 -1.347 3.717 -4.465 11.510" Properties=species:S:1:pos:R:3 pbc="T T T"
S 0.508 -3.308 7.645
Ta 0.918 -1.103 2.843
S 1.407 -4.388 10.430
S 0.725 -3.419 3.790
Li 1.859 -2.233 5.755
S -0.174 -2.338 1.006
Ta 2.799 -3.362 8.668
```

Calculated values
Volume ... 18.01 Å³ per atom
Calculated total energy ... -0.530 Ry per atom
ΔE_f ... -1476 meV/atom
Total magnetic moment ... 0.0 μB per formula unit

---

# 7
DFT (PBE) results for a relaxed Cs2ErAuCl6 crystal.

```
10
Lattice="0.000 5.416 5.416 5.416 0.000 5.416 5.416 5.416 0.000" Properties=species:S:1:pos:R:3 pbc="T T T"
Cl 5.416 8.207 5.416
Cl 8.207 5.416 5.416
Er 0.000 0.000 0.000
Cs 8.123 8.123 8.123
Cl 5.416 2.624 5.416
Cl 5.416 5.416 2.624
Cl 5.416 5.416 8.207
Cl 2.624 5.416 5.416
Au 5.416 5.416 5.416
Cs 2.708 2.708 2.708
```

Calculated values
Volume ... 31.77 Å³ per atom
Calculated total energy ... -0.278 Ry per atom
ΔE_f ... -2079 meV/atom
Total magnetic moment ... 0.0 μB per formula unit

---

# 8
DFT (PBE) results for a relaxed Li10Zn7P8S32 crystal.

```
114
Lattice="-3.261 5.361 -6.740 -10.712 -1.002 4.385 3.630 18.781 13.183" Properties=species:S:1:pos:R:3 pbc="T T T"
S -1.211 7.905 2.283
P -8.679 12.672 4.812
S -7.474 2.709 1.184
S -3.255 22.074 8.268
S -7.390 11.112 4.442
Zn 0.363 24.134 6.441
Li -0.747 15.123 9.263
S 0.600 17.337 8.856
S -2.618 11.037 8.350
S -5.563 20.491 10.996
S -1.461 19.625 5.344
S -6.566 7.408 4.477
S -6.257 3.512 4.121
Li -11.227 18.466 7.546
S -4.710 4.894 1.582
Li -2.224 2.100 2.742
P -2.366 17.914 5.916
Li -0.192 15.796 3.239
S -7.666 14.369 4.251
S -7.049 15.254 13.815
Zn -6.500 18.360 11.460
S -3.511 17.573 13.995
P -7.749 17.296 8.112
S -10.116 8.293 3.493
S -11.019 3.601 0.197
P -3.889 12.601 8.800
S -11.327 7.488 0.557
S -3.804 9.591 4.878
Li -4.284 16.256 8.713
S -8.290 17.659 10.072
S -2.028 11.607 2.198
Li -2.060 14.140 5.961
Zn -5.896 18.882 5.375
P 1.396 13.055 6.522
S -0.284 12.619 5.492
P -4.216 8.465 -0.661
S -4.753 8.791 1.303
S -4.116 5.480 -4.531
S -9.145 9.076 7.069
Li -6.078 6.878 2.116
S -5.973 7.989 -1.635
S -5.349 8.212 7.416
Li -9.603 15.793 10.895
S -2.925 18.110 7.907
S -0.205 21.008 8.803
Zn -1.157 18.900 9.234
S -6.428 15.767 7.714
Li -5.158 11.591 5.406
Li -7.583 1.597 4.934
Li 0.183 12.014 3.225
S -8.283 6.408 1.113
S -2.939 14.312 8.184
S -1.689 15.687 11.672
S -9.786 1.127 3.932
S -4.130 17.388 4.944
Zn -8.908 8.410 10.931
Zn -3.852 4.778 -0.622
S -2.119 3.213 -1.007
Li -4.880 15.676 14.812
S -1.974 18.980 11.462
Zn -8.609 4.865 -4.539
S -10.065 4.392 3.775
Li -6.673 6.294 8.223
S -5.627 12.118 7.792
S -0.002 8.708 5.212
S -3.206 10.169 -1.238
P -6.851 22.048 11.415
Li -1.314 6.788 6.014
Zn -2.354 10.052 -3.442
Zn -9.210 4.274 1.569
Zn -7.707 9.554 -1.249
S -10.435 12.184 3.858
S -4.746 16.800 11.063
S -0.902 4.015 1.928
Li -1.644 2.703 -3.367
Zn -8.307 8.960 4.863
P -2.996 17.286 12.024
Li -2.737 21.560 5.939
P -8.302 16.768 14.242
S 0.924 13.323 8.519
S -9.486 16.878 7.102
S -5.663 4.099 -1.988
S -5.053 12.718 1.589
S -4.455 12.888 10.760
S -7.945 10.524 10.592
Li -6.992 2.187 -1.180
S 1.816 18.116 11.807
S -8.281 13.778 10.372
S -8.605 21.573 10.442
S -1.088 16.321 5.587
P -9.572 7.964 1.529
Zn -7.351 13.658 8.214
Li -0.726 7.376 -0.077
S -9.473 4.976 -2.342
P -10.165 7.375 7.638
S -2.928 6.908 -1.082
P -11.072 2.684 4.349
P -4.809 7.885 5.452
S -3.877 13.471 4.571
S -3.525 6.325 5.028
P -5.718 3.187 2.156
S -9.182 12.948 6.827
S -8.562 9.671 0.957
S -8.876 5.818 7.225
Li -9.006 16.356 4.786
S -6.770 19.028 7.550
Li -0.438 11.478 9.319
S -7.403 18.523 13.634
Zn -2.941 9.480 2.674
Zn -6.789 14.251 2.041
P -3.340 13.136 2.662
P -5.125 3.777 -3.953
S -4.427 1.632 1.734
S -2.325 14.875 2.021
```

Calculated values
Volume ... 21.80 Å³ per atom
Calculated total energy ... -0.313 Ry per atom
ΔE_f ... -974 meV/atom
Total magnetic moment ... 0.0 μB per formula unit